## MgCoCu2SnS4 (PBE-GGA)

Data for a relaxed MgCoCu2SnS4 crystal.

Output
The value obtained for the total energy is -4.47 eV per atom. The magnetic moment comes out at 3.0 μB per formula unit. As for the symmetry: Cm (8). The value obtained for the energy above the most stable polymorph in this dataset is 0 meV per atom.

```
data_MgCoCu2SnS4
_space_group_name_H-M_alt 'P 1'
_space_group_IT_number 1
_space_group_name_Hall 'P 1'
_cell_length_a 5.8622
_cell_length_b 5.8625
_cell_length_c 6.6292
_cell_angle_alpha 112.22
_cell_angle_beta 112.23
_cell_angle_gamma 98.23
loop_
_atom_site_label
_atom_site_type_symbol
_atom_site_fract_x
_atom_site_fract_y
_atom_site_fract_z
Mg1 Mg 0.7400 0.7401 0.4815
Cu1 Cu 0.7587 0.2578 0.5170
S1 S 0.6720 0.0866 0.7598
S2 S 0.0866 0.6720 0.7598
Co1 Co 0.0048 0.0048 0.0103
S3 S 0.3643 0.3642 0.2685
Cu2 Cu 0.2576 0.7588 0.5169
Sn1 Sn 0.4488 0.4487 0.8964
S4 S 0.9046 0.9045 0.2698
```

=====

## Rb2NdCuI6 (PBE-GGA)

Data for a relaxed Rb2NdCuI6 crystal.

Output
The value obtained for the total energy is -3.13 eV per atom. The magnetic moment comes out at 0.0 μB per formula unit. As for the symmetry: Fm-3m (225).

```
data_Rb2NdCuI6
_space_group_name_H-M_alt 'P 1'
_space_group_IT_number 1
_space_group_name_Hall 'P 1'
_cell_length_a 8.4704
_cell_length_b 8.4704
_cell_length_c 8.4704
_cell_angle_alpha 60.00
_cell_angle_beta 60.00
_cell_angle_gamma 60.00
loop_
_atom_site_label
_atom_site_type_symbol
_atom_site_fract_x
_atom_site_fract_y
_atom_site_fract_z
I1 I 0.2403 0.2403 0.7597
I2 I 0.2403 0.7597 0.2403
Rb1 Rb 0.2500 0.2500 0.2500
Cu1 Cu 0.0000 0.0000 0.0000
I3 I 0.7597 0.2403 0.2403
I4 I 0.7597 0.2403 0.7597
I5 I 0.2403 0.7597 0.7597
I6 I 0.7597 0.7597 0.2403
Rb2 Rb 0.7500 0.7500 0.7500
Nd1 Nd 0.5000 0.5000 0.5000
```

=====

## Te4MoW3Se2S2 (PBE-GGA)

Data for a relaxed Te4MoW3Se2S2 crystal.

Output
The value obtained for the total energy is -6.84 eV per atom. The magnetic moment comes out at 0.0 μB per formula unit. As for the symmetry: P3m1 (156). The value obtained for the energy above the most stable polymorph in this dataset is 0 meV per atom.

```
data_Te4MoW3Se2S2
_space_group_name_H-M_alt 'P 1'
_space_group_IT_number 1
_space_group_name_Hall 'P 1'
_cell_length_a 3.3943
_cell_length_b 3.3943
_cell_length_c 38.7535
_cell_angle_alpha 90.00
_cell_angle_beta 90.00
_cell_angle_gamma 120.00
loop_
_atom_site_label
_atom_site_type_symbol
_atom_site_fract_x
_atom_site_fract_y
_atom_site_fract_z
W1 W 0.0000 0.0000 0.4696
Te1 Te 0.0000 0.0000 0.7062
Te2 Te 0.3333 0.6667 0.1422
S1 S 0.0000 0.0000 0.2429
Te3 Te 0.0000 0.0000 0.6089
Se1 Se 0.3333 0.6667 0.4270
W2 W 0.3333 0.6667 0.6576
Mo1 Mo 0.0000 0.0000 0.0939
Se2 Se 0.3333 0.6667 0.5123
S2 S 0.0000 0.0000 0.3207
W3 W 0.3333 0.6667 0.2818
Te4 Te 0.3333 0.6667 0.0456
```

=====

## CeAgP4O12 (PBE-GGA)

Data for a relaxed CeAgP4O12 crystal.

Output
The value obtained for the total energy is -7.22 eV per atom. The magnetic moment comes out at 1.0 μB per formula unit. As for the symmetry: P2_1/c (14).

```
data_CeAgP4O12
_space_group_name_H-M_alt 'P 1'
_space_group_IT_number 1
_space_group_name_Hall 'P 1'
_cell_length_a 13.3558
_cell_length_b 7.3758
_cell_length_c 12.4890
_cell_angle_alpha 54.32
_cell_angle_beta 90.00
_cell_angle_gamma 90.00
loop_
_atom_site_label
_atom_site_type_symbol
_atom_site_fract_x
_atom_site_fract_y
_atom_site_fract_z
O1 O 0.8581 0.5900 0.1056
P1 P 0.6140 0.3824 0.7380
O2 O 0.7080 0.1774 0.1060
O3 O 0.6895 0.2839 0.8468
O4 O 0.8675 0.9824 0.8404
O5 O 0.4209 0.7997 0.2869
P2 P 0.3860 0.6176 0.2620
P3 P 0.5892 0.9316 0.8019
O6 O 0.0791 0.7997 0.7869
O7 O 0.6041 0.3091 0.3994
O8 O 0.3912 0.1321 0.2906
P4 P 0.1265 0.8399 0.3051
O9 O 0.5218 0.1461 0.1352
Ag1 Ag 0.7772 0.5667 0.9330
P5 P 0.4012 0.5066 0.7460
P6 P 0.1140 0.6176 0.7620
P7 P 0.3735 0.8399 0.8051
O10 O 0.8959 0.3091 0.8994
O11 O 0.6325 0.9824 0.3404
O12 O 0.6592 0.8477 0.9162
O13 O 0.1419 0.4100 0.8944
P8 P 0.0892 0.0684 0.6981
O14 O 0.3356 0.3044 0.7976
O15 O 0.3675 0.0176 0.6596
O16 O 0.6088 0.8679 0.7094
O17 O 0.1325 0.0176 0.1596
Ce1 Ce 0.2163 0.0369 0.9767
O18 O 0.6419 0.5900 0.6056
Ce2 Ce 0.2837 0.0369 0.4767
O19 O 0.8912 0.8679 0.2094
O20 O 0.4782 0.8539 0.8648
O21 O 0.9782 0.1461 0.6352
O22 O 0.3581 0.4100 0.3944
O23 O 0.1201 0.5963 0.3343
Ag2 Ag 0.2772 0.4333 0.5670
O24 O 0.1041 0.6909 0.1006
O25 O 0.8799 0.4037 0.6657
O26 O 0.8356 0.6956 0.7024
O27 O 0.1592 0.1523 0.5838
O28 O 0.8408 0.8477 0.4162
O29 O 0.0141 0.5793 0.7066
O30 O 0.1644 0.3044 0.2976
O31 O 0.6644 0.6956 0.2024
Ce3 Ce 0.7163 0.9631 0.5233
O32 O 0.9209 0.2003 0.2131
O33 O 0.3408 0.1523 0.0838
O34 O 0.8105 0.2839 0.3468
P9 P 0.9108 0.9316 0.3019
O35 O 0.5791 0.2003 0.7131
O36 O 0.1895 0.7161 0.6532
Ce4 Ce 0.7837 0.9631 0.0233
P10 P 0.5988 0.4934 0.2540
O37 O 0.9859 0.4207 0.2934
O38 O 0.5141 0.4207 0.7934
P11 P 0.6265 0.1601 0.1949
O39 O 0.3799 0.5963 0.8343
P12 P 0.9012 0.4934 0.7540
O40 O 0.3959 0.6909 0.6006
P13 P 0.8860 0.3824 0.2380
Ag3 Ag 0.2228 0.4333 0.0670
O41 O 0.6201 0.4037 0.1657
O42 O 0.4859 0.5793 0.2066
O43 O 0.1088 0.1321 0.7906
P14 P 0.4108 0.0684 0.1981
O44 O 0.2920 0.8226 0.8940
O45 O 0.7920 0.1774 0.6060
P15 P 0.0988 0.5066 0.2460
P16 P 0.8735 0.1601 0.6949
Ag4 Ag 0.7228 0.5667 0.4330
O46 O 0.3105 0.7161 0.1532
O47 O 0.2080 0.8226 0.3940
O48 O 0.0218 0.8539 0.3648
```

=====

## Cr2MoP3 (PBE-GGA)

Data for a relaxed Cr2MoP3 crystal.

Output
The value obtained for the total energy is -8.26 eV per atom. The magnetic moment comes out at 0.2 μB per formula unit. As for the symmetry: Pm (6).

```
data_Cr2MoP3
_space_group_name_H-M_alt 'P 1'
_space_group_IT_number 1
_space_group_name_Hall 'P 1'
_cell_length_a 3.1299
_cell_length_b 5.4600
_cell_length_c 18.2600
_cell_angle_alpha 89.92
_cell_angle_beta 90.00
_cell_angle_gamma 90.00
loop_
_atom_site_label
_atom_site_type_symbol
_atom_site_fract_x
_atom_site_fract_y
_atom_site_fract_z
Mo1 Mo 0.7500 0.4902 0.8961
P1 P 0.7500 0.8191 0.8083
P2 P 0.2500 0.1791 0.1807
Cr1 Cr 0.7500 0.9947 0.6028
Cr2 Cr 0.2500 0.0095 0.3986
Cr3 Cr 0.2500 0.0107 0.7303
Mo2 Mo 0.7500 0.4899 0.5648
Cr4 Cr 0.2500 0.0118 0.0610
Cr5 Cr 0.7500 0.9942 0.9345
P3 P 0.7500 0.8211 0.4769
Cr6 Cr 0.2500 0.5085 0.7700
P4 P 0.7500 0.3097 0.6916
Cr7 Cr 0.2500 0.5107 0.1014
P5 P 0.2500 0.1709 0.5204
P6 P 0.7500 0.3104 0.0232
Cr8 Cr 0.2500 0.5086 0.4395
P7 P 0.7500 0.3170 0.3614
Mo3 Mo 0.7500 0.4932 0.2305
P8 P 0.2500 0.6960 0.9804
P9 P 0.2500 0.1713 0.8522
P10 P 0.7500 0.8158 0.1383
Mo4 Mo 0.7500 0.9933 0.2693
P11 P 0.2500 0.6962 0.6488
P12 P 0.2500 0.6782 0.3191
```

=====

## DyGaPt (PBE-GGA)

Data for a relaxed DyGaPt crystal.

Output
The value obtained for the total energy is -5.67 eV per atom. As for the symmetry: Pnma (62).

```
data_DyGaPt
_space_group_name_H-M_alt 'P 1'
_space_group_IT_number 1
_space_group_name_Hall 'P 1'
_cell_length_a 4.4546
_cell_length_b 6.8797
_cell_length_c 7.6925
_cell_angle_alpha 90.00
_cell_angle_beta 90.00
_cell_angle_gamma 90.00
loop_
_atom_site_label
_atom_site_type_symbol
_atom_site_fract_x
_atom_site_fract_y
_atom_site_fract_z
Ga1 Ga 0.2500 0.3250 0.5721
Ga2 Ga 0.7500 0.6750 0.4279
Dy1 Dy 0.2500 0.4847 0.1974
Pt1 Pt 0.2500 0.7206 0.6017
Dy2 Dy 0.7500 0.0153 0.6974
Ga3 Ga 0.2500 0.8250 0.9279
Pt2 Pt 0.7500 0.7794 0.1017
Pt3 Pt 0.7500 0.2794 0.3983
Pt4 Pt 0.2500 0.2206 0.8983
Dy3 Dy 0.2500 0.9847 0.3026
Ga4 Ga 0.7500 0.1750 0.0721
Dy4 Dy 0.7500 0.5153 0.8026
```

=====

## BaSrInSbO6 (PBE-GGA)

Data for a relaxed BaSrInSbO6 crystal.

Output
The value obtained for the total energy is -6.13 eV per atom. The magnetic moment comes out at 0.0 μB per formula unit. As for the symmetry: F-43m (216).

```
data_BaSrInSbO6
_space_group_name_H-M_alt 'P 1'
_space_group_IT_number 1
_space_group_name_Hall 'P 1'
_cell_length_a 5.8856
_cell_length_b 5.8856
_cell_length_c 5.8856
_cell_angle_alpha 60.00
_cell_angle_beta 60.00
_cell_angle_gamma 60.00
loop_
_atom_site_label
_atom_site_type_symbol
_atom_site_fract_x
_atom_site_fract_y
_atom_site_fract_z
O1 O 0.7406 0.2594 0.2594
In1 In 0.0000 0.0000 0.0000
O2 O 0.2594 0.7406 0.7406
Ba1 Ba 0.7500 0.7500 0.7500
Sb1 Sb 0.5000 0.5000 0.5000
O3 O 0.7406 0.7406 0.2594
O4 O 0.2594 0.2594 0.7406
O5 O 0.2594 0.7406 0.2594
Sr1 Sr 0.2500 0.2500 0.2500
O6 O 0.7406 0.2594 0.7406
```

=====

## Eu2GeSe4 (PBE-GGA)

Data for a relaxed Eu2GeSe4 crystal.

Output
The value obtained for the total energy is -6.83 eV per atom. The magnetic moment comes out at 14.0 μB per formula unit. As for the symmetry: P2_1/m (11). The value obtained for the energy above the most stable polymorph in this dataset is 15 meV per atom.

```
data_Eu2GeSe4
_space_group_name_H-M_alt 'P 1'
_space_group_IT_number 1
_space_group_name_Hall 'P 1'
_cell_length_a 7.0237
_cell_length_b 7.0089
_cell_length_c 8.4323
_cell_angle_alpha 72.19
_cell_angle_beta 90.00
_cell_angle_gamma 90.00
loop_
_atom_site_label
_atom_site_type_symbol
_atom_site_fract_x
_atom_site_fract_y
_atom_site_fract_z
Se1 Se 0.2500 0.0753 0.6145
Eu1 Eu 0.2500 0.7284 0.9437
Se2 Se 0.2500 0.0863 0.0928
Eu2 Eu 0.2500 0.7518 0.4367
Se3 Se 0.4913 0.4985 0.2577
Se4 Se 0.5087 0.5015 0.7423
Se5 Se 0.7500 0.9137 0.9072
Eu3 Eu 0.7500 0.2716 0.0563
Se6 Se 0.9913 0.5015 0.7423
Se7 Se 0.7500 0.9247 0.3855
Ge1 Ge 0.7500 0.7307 0.1967
Ge2 Ge 0.2500 0.2693 0.8033
Eu4 Eu 0.7500 0.2482 0.5633
Se8 Se 0.0087 0.4985 0.2577
```